one.
Computed, not measured: LiTi3O4 after structural relaxation at the PBE level of DFT.

Values from the calculation:
As for the space group: Cmmm, No. 65. For the calculated density, the calculation gives 4.74 g/cm³.

Cell lengths 5.1591, 5.1591, 2.9639 Å; angles 90.00, 90.00, 107.85 degrees
Fractional positions:
Ti 0.0000 0.5000 0.0000
Ti 0.5000 0.0000 0.0000
O 0.2555 0.2555 0.0000
Ti 0.0000 0.0000 0.5000
O 0.2608 0.7392 0.5000
Li 0.5000 0.5000 0.5000
O 0.7392 0.2608 0.5000
O 0.7445 0.7445 0.0000



two.
Computed, not measured: LiTi3O4 after structural relaxation at the PBE level of DFT.

Values from the calculation:
As for the space group: P1, No. 1. For the calculated density, the calculation gives 4.74 g/cm³.

Cell lengths 5.1691, 5.9754, 5.9751 Å; angles 120.06, 125.26, 106.76 degrees
Fractional positions:
Ti 0.9755 0.9996 0.0042
Ti 0.0381 0.5005 0.5194
O 0.4942 0.5000 0.2467
Ti 0.9756 0.9999 0.4708
O 0.4814 0.9997 0.7449
O 0.5450 0.4998 0.7722
Li 0.0069 0.4999 0.0041
O 0.4821 0.9998 0.2367



three.
Computed, not measured: LiTi3O4 after structural relaxation at the PBE level of DFT.

Values from the calculation:
As for the space group: Pm, No. 6. For the calculated density, the calculation gives 4.02 g/cm³.

Cell lengths 5.5070, 6.3235, 6.4272 Å; angles 120.69, 125.52, 106.29 degrees
Fractional positions:
Ti 0.9478 0.9996 0.4269
O 0.5397 0.4995 0.7692
O 0.5188 0.5001 0.2598
Li 0.2112 0.0001 0.8537
O 0.5004 0.0002 0.7911
Ti 0.0714 0.5002 0.5357
O 0.4962 0.9999 0.2064
Ti 0.9507 0.9996 0.0206



Bottom line: two, by a margin of 22 meV/atom.